VASP calculation (PBE) on Sm3InN after structural relaxation.

abc: 4.957 4.957 4.957
angles: 90.00 90.00 90.00
Element x y z (fractional)
Sm (0.000, 0.000, 0.500)
Sm (0.000, 0.500, 0.000)
Sm (0.500, 0.000, 0.000)
In (0.500, 0.500, 0.500)
N (0.000, 0.000, 0.000)

## Properties
- E: -5.9641 eV per atom
- Symmetry: Pm-3m, No. 221
- Theoretical density: 7.91 g cm⁻³


VASP calculation (PBE) on AcCdRh2 after structural relaxation.

abc: 4.921 4.921 4.921
angles: 60.00 60.00 60.00
Element x y z (fractional)
Ac (0.000, 0.000, 0.000)
Cd (0.500, 0.500, 0.500)
Rh (0.250, 0.250, 0.250)
Rh (0.750, 0.750, 0.750)

## Properties
- E: -5.2967 eV per atom
- Symmetry: Fm-3m, No. 225
- Theoretical density: 10.75 g cm⁻³


VASP calculation (PBE) on LiTiP4O12 after structural relaxation.

abc: 8.599 8.599 9.519
angles: 119.95 119.95 50.20
Element x y z (fractional)
Li (0.195, 0.805, 0.750)
Li (0.805, 0.195, 0.250)
Ti (0.348, 0.652, 0.250)
Ti (0.652, 0.348, 0.750)
P (0.070, 0.194, 0.630)
P (0.194, 0.070, 0.130)
P (0.202, 0.517, 0.826)
P (0.483, 0.798, 0.674)
P (0.517, 0.202, 0.326)
P (0.798, 0.483, 0.174)
P (0.806, 0.930, 0.870)
P (0.930, 0.806, 0.370)
O (0.015, 0.276, 0.225)
O (0.027, 0.112, 0.444)
O (0.100, 0.690, 0.286)
O (0.112, 0.027, 0.944)
O (0.162, 0.337, 0.682)
O (0.245, 0.516, 0.999)
O (0.276, 0.015, 0.725)
O (0.310, 0.900, 0.214)
O (0.337, 0.162, 0.182)
O (0.360, 0.512, 0.792)
O (0.484, 0.755, 0.501)
O (0.488, 0.640, 0.708)
O (0.512, 0.360, 0.292)
O (0.516, 0.245, 0.499)
O (0.640, 0.488, 0.208)
O (0.663, 0.838, 0.818)
O (0.690, 0.100, 0.786)
O (0.724, 0.985, 0.275)
O (0.755, 0.484, 0.001)
O (0.838, 0.663, 0.318)
O (0.888, 0.973, 0.056)
O (0.900, 0.310, 0.714)
O (0.973, 0.888, 0.556)
O (0.985, 0.724, 0.775)

## Properties
- E: -7.2904 eV per atom
- Symmetry: C2/c, No. 15
- E above lowest polymorph: 53 meV per atom
- Theoretical density: 2.73 g cm⁻³


VASP calculation (PBE) on MnAlGe after structural relaxation.

abc: 3.891 3.891 5.940
angles: 90.00 90.00 90.00
Element x y z (fractional)
Mn (0.250, 0.750, 0.000)
Mn (0.750, 0.250, 0.000)
Al (0.250, 0.250, 0.294)
Al (0.750, 0.750, 0.706)
Ge (0.250, 0.250, 0.719)
Ge (0.750, 0.750, 0.281)

## Properties
- E: -6.0512 eV per atom
- Symmetry: P4/nmm, No. 129
- Theoretical density: 5.71 g cm⁻³


VASP calculation (PBE) on Pr3Br after structural relaxation.

abc: 5.013 5.013 5.013
angles: 90.00 90.00 90.00
Element x y z (fractional)
Pr (0.000, 0.000, 0.500)
Pr (0.000, 0.500, 0.000)
Pr (0.500, 0.000, 0.000)
Br (0.500, 0.500, 0.500)

## Properties
- E: -4.1408 eV per atom
- Symmetry: Pm-3m, No. 221
- E above lowest polymorph: 0 meV per atom
- Theoretical density: 6.62 g cm⁻³


VASP calculation (PBE) on K3Cr after structural relaxation.

abc: 7.017 7.017 7.017
angles: 129.21 129.21 74.67
Element x y z (fractional)
K (0.000, 0.000, 0.000)
K (0.250, 0.750, 0.500)
K (0.750, 0.250, 0.500)
Cr (0.500, 0.500, 0.000)

## Properties
- E: -2.5724 eV per atom
- Symmetry: I4/mmm, No. 139
- E above lowest polymorph: 11 meV per atom
- Theoretical density: 1.39 g cm⁻³